Version A
Computed, not measured: K3TaO2F7 after structural relaxation at the PBE-GGA level of DFT.

Structure (CIF):
```
data_K3TaO2F7
_cell_length_a 7.252
_cell_length_b 14.109
_cell_length_c 9.521
_cell_angle_alpha 90.00
_cell_angle_beta 90.00
_cell_angle_gamma 90.00
_symmetry_space_group_name_H-M 'P 1'
_symmetry_Int_Tables_number 1
_symmetry_space_group_name_Hall 'P 1'
loop_
_atom_site_label
_atom_site_type_symbol
_atom_site_fract_x
_atom_site_fract_y
_atom_site_fract_z
K1 K 0.216 0.153 0.000
K2 K 0.227 0.158 0.474
K3 K 0.238 0.844 0.236
K4 K 0.262 0.344 0.736
K5 K 0.273 0.658 0.974
K6 K 0.284 0.653 0.500
K7 K 0.716 0.347 0.000
K8 K 0.727 0.342 0.474
K9 K 0.738 0.656 0.236
K10 K 0.762 0.156 0.736
K11 K 0.773 0.842 0.974
K12 K 0.784 0.847 0.500
Ta1 Ta 0.215 0.929 0.736
Ta2 Ta 0.285 0.429 0.236
Ta3 Ta 0.715 0.571 0.736
Ta4 Ta 0.785 0.071 0.236
O1 O 0.006 0.448 0.298
O2 O 0.015 0.446 0.154
O3 O 0.485 0.946 0.654
O4 O 0.494 0.948 0.798
O5 O 0.506 0.052 0.298
O6 O 0.515 0.054 0.154
O7 O 0.985 0.554 0.654
O8 O 0.994 0.552 0.798
F1 F 0.005 0.739 0.087
F2 F 0.011 0.281 0.908
F3 F 0.051 0.087 0.244
F4 F 0.162 0.929 0.534
F5 F 0.183 0.936 0.940
F6 F 0.193 0.066 0.733
F7 F 0.242 0.294 0.243
F8 F 0.258 0.794 0.743
F9 F 0.307 0.566 0.233
F10 F 0.317 0.436 0.440
F11 F 0.338 0.429 0.034
F12 F 0.449 0.587 0.744
F13 F 0.489 0.781 0.408
F14 F 0.495 0.239 0.587
F15 F 0.505 0.761 0.087
F16 F 0.511 0.219 0.908
F17 F 0.551 0.413 0.244
F18 F 0.662 0.571 0.534
F19 F 0.683 0.564 0.940
F20 F 0.693 0.434 0.733
F21 F 0.742 0.206 0.243
F22 F 0.758 0.706 0.743
F23 F 0.807 0.934 0.233
F24 F 0.817 0.064 0.440
F25 F 0.838 0.071 0.034
F26 F 0.949 0.913 0.744
F27 F 0.989 0.719 0.408
F28 F 0.995 0.261 0.587
```

Computed properties:
The volume is 18.73 Å³ per atom.

---

Version B
Computed, not measured: K3TaO2F7 after structural relaxation at the PBE-GGA level of DFT.

Structure (CIF):
```
data_K3TaO2F7
_cell_length_a 7.245
_cell_length_b 9.767
_cell_length_c 14.067
_cell_angle_alpha 90.00
_cell_angle_beta 90.00
_cell_angle_gamma 90.00
_symmetry_space_group_name_H-M 'P 1'
_symmetry_Int_Tables_number 1
_symmetry_space_group_name_Hall 'P 1'
loop_
_atom_site_label
_atom_site_type_symbol
_atom_site_fract_x
_atom_site_fract_y
_atom_site_fract_z
K1 K 0.218 0.016 0.152
K2 K 0.218 0.484 0.152
K3 K 0.235 0.250 0.827
K4 K 0.265 0.750 0.327
K5 K 0.282 0.516 0.652
K6 K 0.282 0.984 0.652
K7 K 0.718 0.016 0.348
K8 K 0.718 0.484 0.348
K9 K 0.735 0.250 0.673
K10 K 0.765 0.750 0.173
K11 K 0.782 0.516 0.848
K12 K 0.782 0.984 0.848
Ta1 Ta 0.211 0.750 0.928
Ta2 Ta 0.289 0.250 0.428
Ta3 Ta 0.711 0.750 0.572
Ta4 Ta 0.789 0.250 0.072
O1 O 0.013 0.181 0.444
O2 O 0.013 0.319 0.444
O3 O 0.487 0.681 0.944
O4 O 0.487 0.819 0.944
O5 O 0.513 0.181 0.056
O6 O 0.513 0.319 0.056
O7 O 0.987 0.681 0.556
O8 O 0.987 0.819 0.556
F1 F 0.001 0.086 0.729
F2 F 0.001 0.414 0.729
F3 F 0.056 0.250 0.087
F4 F 0.166 0.553 0.932
F5 F 0.166 0.947 0.932
F6 F 0.196 0.750 0.065
F7 F 0.246 0.250 0.293
F8 F 0.254 0.750 0.793
F9 F 0.304 0.250 0.565
F10 F 0.334 0.053 0.432
F11 F 0.334 0.447 0.432
F12 F 0.444 0.750 0.587
F13 F 0.499 0.586 0.229
F14 F 0.499 0.914 0.229
F15 F 0.501 0.086 0.771
F16 F 0.501 0.414 0.771
F17 F 0.556 0.250 0.413
F18 F 0.666 0.553 0.568
F19 F 0.666 0.947 0.568
F20 F 0.696 0.750 0.435
F21 F 0.746 0.250 0.207
F22 F 0.754 0.750 0.707
F23 F 0.804 0.250 0.935
F24 F 0.834 0.053 0.068
F25 F 0.834 0.447 0.068
F26 F 0.944 0.750 0.913
F27 F 0.999 0.586 0.271
F28 F 0.999 0.914 0.271
```

Computed properties:
The volume is 19.14 Å³ per atom.

---

Which of them is most stable? Easy: version B.

---

Version A
Computed, not measured: K3Ta4F15 after structural relaxation at the PBE-GGA level of DFT.

Structure (CIF):
```
data_K3Ta4F15
_cell_length_a 4.135
_cell_length_b 18.596
_cell_length_c 19.976
_cell_angle_alpha 90.00
_cell_angle_beta 90.00
_cell_angle_gamma 90.00
_symmetry_space_group_name_H-M 'P 1'
_symmetry_Int_Tables_number 1
_symmetry_space_group_name_Hall 'P 1'
loop_
_atom_site_label
_atom_site_type_symbol
_atom_site_fract_x
_atom_site_fract_y
_atom_site_fract_z
K1 K 0.000 0.036 0.000
K2 K 0.000 0.340 0.175
K3 K 0.000 0.357 0.859
K4 K 0.000 0.548 0.185
K5 K 0.000 0.821 0.995
K6 K 0.000 0.860 0.339
K7 K 0.500 0.140 0.839
K8 K 0.500 0.179 0.495
K9 K 0.500 0.452 0.685
K10 K 0.500 0.643 0.359
K11 K 0.500 0.660 0.675
K12 K 0.500 0.964 0.500
Ta1 Ta 0.000 0.017 0.662
Ta2 Ta 0.000 0.242 0.691
Ta3 Ta 0.000 0.369 0.482
Ta4 Ta 0.000 0.464 0.371
Ta5 Ta 0.000 0.495 0.526
Ta6 Ta 0.000 0.756 0.505
Ta7 Ta 0.000 0.854 0.696
Ta8 Ta 0.000 0.965 0.812
Ta9 Ta 0.500 0.035 0.312
Ta10 Ta 0.500 0.146 0.196
Ta11 Ta 0.500 0.244 0.005
Ta12 Ta 0.500 0.505 0.026
Ta13 Ta 0.500 0.536 0.871
Ta14 Ta 0.500 0.631 0.982
Ta15 Ta 0.500 0.758 0.191
Ta16 Ta 0.500 0.983 0.162
F1 F 0.000 0.027 0.322
F2 F 0.000 0.040 0.561
F3 F 0.000 0.056 0.874
F4 F 0.000 0.059 0.756
F5 F 0.000 0.135 0.660
F6 F 0.000 0.161 0.188
F7 F 0.000 0.211 0.788
F8 F 0.000 0.244 0.002
F9 F 0.000 0.251 0.472
F10 F 0.000 0.260 0.596
F11 F 0.000 0.343 0.724
F12 F 0.000 0.353 0.380
F13 F 0.000 0.399 0.589
F14 F 0.000 0.427 0.276
F15 F 0.000 0.493 0.042
F16 F 0.000 0.529 0.629
F17 F 0.000 0.529 0.863
F18 F 0.000 0.557 0.443
F19 F 0.000 0.562 0.320
F20 F 0.000 0.652 0.993
F21 F 0.000 0.661 0.547
F22 F 0.000 0.725 0.408
F23 F 0.000 0.749 0.722
F24 F 0.000 0.758 0.192
F25 F 0.000 0.792 0.603
F26 F 0.000 0.855 0.799
F27 F 0.000 0.861 0.475
F28 F 0.000 0.919 0.612
F29 F 0.000 0.925 0.905
F30 F 0.000 0.971 0.150
F31 F 0.500 0.029 0.650
F32 F 0.500 0.075 0.405
F33 F 0.500 0.081 0.112
F34 F 0.500 0.139 0.975
F35 F 0.500 0.145 0.299
F36 F 0.500 0.208 0.103
F37 F 0.500 0.242 0.692
F38 F 0.500 0.251 0.222
F39 F 0.500 0.275 0.908
F40 F 0.500 0.339 0.047
F41 F 0.500 0.348 0.493
F42 F 0.500 0.438 0.820
F43 F 0.500 0.443 0.943
F44 F 0.500 0.471 0.129
F45 F 0.500 0.471 0.363
F46 F 0.500 0.507 0.542
F47 F 0.500 0.573 0.776
F48 F 0.500 0.601 0.089
F49 F 0.500 0.647 0.880
F50 F 0.500 0.657 0.224
F51 F 0.500 0.740 0.096
F52 F 0.500 0.749 0.972
F53 F 0.500 0.756 0.502
F54 F 0.500 0.789 0.288
F55 F 0.500 0.839 0.688
F56 F 0.500 0.865 0.160
F57 F 0.500 0.941 0.256
F58 F 0.500 0.944 0.374
F59 F 0.500 0.960 0.061
F60 F 0.500 0.973 0.822
```

Computed properties:
The volume is 17.46 Å³ per atom.

---

Version B
Computed, not measured: K3Ta4F15 after structural relaxation at the PBE-GGA level of DFT.

Structure (CIF):
```
data_K3Ta4F15
_cell_length_a 4.172
_cell_length_b 19.036
_cell_length_c 20.828
_cell_angle_alpha 90.00
_cell_angle_beta 90.00
_cell_angle_gamma 90.00
_symmetry_space_group_name_H-M 'P 1'
_symmetry_Int_Tables_number 1
_symmetry_space_group_name_Hall 'P 1'
loop_
_atom_site_label
_atom_site_type_symbol
_atom_site_fract_x
_atom_site_fract_y
_atom_site_fract_z
K1 K 0.000 0.048 0.000
K2 K 0.000 0.352 0.835
K3 K 0.000 0.354 0.156
K4 K 0.000 0.564 0.826
K5 K 0.000 0.842 0.987
K6 K 0.000 0.846 0.667
K7 K 0.500 0.154 0.167
K8 K 0.500 0.158 0.487
K9 K 0.500 0.436 0.326
K10 K 0.500 0.646 0.656
K11 K 0.500 0.648 0.335
K12 K 0.500 0.952 0.500
Ta1 Ta 0.000 0.041 0.357
Ta2 Ta 0.000 0.244 0.316
Ta3 Ta 0.000 0.329 0.503
Ta4 Ta 0.000 0.473 0.650
Ta5 Ta 0.000 0.538 0.465
Ta6 Ta 0.000 0.754 0.510
Ta7 Ta 0.000 0.826 0.318
Ta8 Ta 0.000 0.967 0.172
Ta9 Ta 0.500 0.033 0.672
Ta10 Ta 0.500 0.174 0.818
Ta11 Ta 0.500 0.246 0.010
Ta12 Ta 0.500 0.462 0.965
Ta13 Ta 0.500 0.527 0.150
Ta14 Ta 0.500 0.671 0.003
Ta15 Ta 0.500 0.756 0.816
Ta16 Ta 0.500 0.959 0.857
F1 F 0.000 0.023 0.257
F2 F 0.000 0.031 0.673
F3 F 0.000 0.045 0.456
F4 F 0.000 0.064 0.129
F5 F 0.000 0.151 0.373
F6 F 0.000 0.176 0.819
F7 F 0.000 0.229 0.217
F8 F 0.000 0.229 0.536
F9 F 0.000 0.246 0.011
F10 F 0.000 0.276 0.414
F11 F 0.000 0.348 0.286
F12 F 0.000 0.389 0.585
F13 F 0.000 0.426 0.453
F14 F 0.000 0.426 0.735
F15 F 0.000 0.464 0.965
F16 F 0.000 0.523 0.367
F17 F 0.000 0.525 0.147
F18 F 0.000 0.537 0.567
F19 F 0.000 0.565 0.699
F20 F 0.000 0.645 0.491
F21 F 0.000 0.672 0.001
F22 F 0.000 0.721 0.299
F23 F 0.000 0.721 0.604
F24 F 0.000 0.756 0.818
F25 F 0.000 0.785 0.413
F26 F 0.000 0.861 0.526
F27 F 0.000 0.877 0.229
F28 F 0.000 0.924 0.084
F29 F 0.000 0.930 0.350
F30 F 0.000 0.960 0.860
F31 F 0.500 0.040 0.360
F32 F 0.500 0.070 0.850
F33 F 0.500 0.076 0.584
F34 F 0.500 0.123 0.729
F35 F 0.500 0.139 0.026
F36 F 0.500 0.215 0.913
F37 F 0.500 0.244 0.318
F38 F 0.500 0.279 0.104
F39 F 0.500 0.279 0.799
F40 F 0.500 0.328 0.501
F41 F 0.500 0.355 0.991
F42 F 0.500 0.435 0.199
F43 F 0.500 0.463 0.067
F44 F 0.500 0.475 0.647
F45 F 0.500 0.477 0.867
F46 F 0.500 0.536 0.465
F47 F 0.500 0.574 0.235
F48 F 0.500 0.574 0.953
F49 F 0.500 0.611 0.085
F50 F 0.500 0.652 0.786
F51 F 0.500 0.724 0.914
F52 F 0.500 0.754 0.511
F53 F 0.500 0.771 0.036
F54 F 0.500 0.771 0.717
F55 F 0.500 0.824 0.319
F56 F 0.500 0.849 0.873
F57 F 0.500 0.936 0.629
F58 F 0.500 0.955 0.956
F59 F 0.500 0.969 0.173
F60 F 0.500 0.977 0.757
```

Computed properties:
The volume is 18.80 Å³ per atom.

---

Which of them is most stable? Easy: version A.

---

Version A
Computed, not measured: KTh6F25 after structural relaxation at the PBE-GGA level of DFT.

Structure (CIF):
```
data_KTh6F25
_cell_length_a 8.374
_cell_length_b 8.374
_cell_length_c 9.786
_cell_angle_alpha 64.67
_cell_angle_beta 64.67
_cell_angle_gamma 60.00
_symmetry_space_group_name_H-M 'P 1'
_symmetry_Int_Tables_number 1
_symmetry_space_group_name_Hall 'P 1'
loop_
_atom_site_label
_atom_site_type_symbol
_atom_site_fract_x
_atom_site_fract_y
_atom_site_fract_z
K1 K 0.000 0.000 0.000
Th1 Th 0.090 0.585 0.731
Th2 Th 0.400 0.912 0.273
Th3 Th 0.409 0.407 0.276
Th4 Th 0.585 0.084 0.727
Th5 Th 0.588 0.589 0.732
Th6 Th 0.897 0.412 0.276
F1 F 0.127 0.122 0.193
F2 F 0.128 0.547 0.195
F3 F 0.172 0.501 0.497
F4 F 0.179 0.816 0.502
F5 F 0.208 0.201 0.373
F6 F 0.250 0.243 0.810
F7 F 0.252 0.685 0.803
F8 F 0.302 0.752 0.195
F9 F 0.441 0.452 0.648
F10 F 0.447 0.871 0.802
F11 F 0.490 0.497 0.008
F12 F 0.491 0.816 0.503
F13 F 0.495 0.000 0.996
F14 F 0.500 0.171 0.504
F15 F 0.542 0.544 0.358
F16 F 0.547 0.118 0.198
F17 F 0.681 0.253 0.813
F18 F 0.740 0.748 0.200
F19 F 0.744 0.314 0.192
F20 F 0.789 0.784 0.636
F21 F 0.815 0.176 0.508
F22 F 0.815 0.504 0.504
F23 F 0.870 0.447 0.802
F24 F 0.872 0.872 0.802
F25 F 0.993 0.498 0.997
```

Computed properties:
The volume is 16.15 Å³ per atom.

---

Version B
Computed, not measured: KTh6F25 after structural relaxation at the PBE-GGA level of DFT.

Structure (CIF):
```
data_KTh6F25
_cell_length_a 9.786
_cell_length_b 9.786
_cell_length_c 9.786
_cell_angle_alpha 50.66
_cell_angle_beta 50.66
_cell_angle_gamma 50.66
_symmetry_space_group_name_H-M 'P 1'
_symmetry_Int_Tables_number 1
_symmetry_space_group_name_Hall 'P 1'
loop_
_atom_site_label
_atom_site_type_symbol
_atom_site_fract_x
_atom_site_fract_y
_atom_site_fract_z
K1 K 0.000 0.000 0.000
Th1 Th 0.091 0.592 0.592
Th2 Th 0.408 0.408 0.909
Th3 Th 0.408 0.909 0.408
Th4 Th 0.592 0.091 0.592
Th5 Th 0.592 0.592 0.091
Th6 Th 0.909 0.408 0.408
F1 F 0.000 0.500 0.500
F2 F 0.127 0.127 0.552
F3 F 0.127 0.552 0.127
F4 F 0.178 0.500 0.822
F5 F 0.178 0.822 0.500
F6 F 0.210 0.210 0.210
F7 F 0.253 0.253 0.689
F8 F 0.253 0.689 0.253
F9 F 0.311 0.747 0.747
F10 F 0.448 0.873 0.873
F11 F 0.450 0.450 0.450
F12 F 0.500 0.000 0.500
F13 F 0.500 0.178 0.822
F14 F 0.500 0.500 0.000
F15 F 0.500 0.822 0.178
F16 F 0.550 0.550 0.550
F17 F 0.552 0.127 0.127
F18 F 0.689 0.253 0.253
F19 F 0.747 0.311 0.747
F20 F 0.747 0.747 0.311
F21 F 0.790 0.790 0.790
F22 F 0.822 0.178 0.500
F23 F 0.822 0.500 0.178
F24 F 0.873 0.448 0.873
F25 F 0.873 0.873 0.448
```

Computed properties:
The volume is 16.15 Å³ per atom.

---

Which of them is most stable? Easy: version B.

---

Version A
Computed, not measured: KY3F10 after structural relaxation at the PBE-GGA level of DFT.

Structure (CIF):
```
data_KY3F10
_cell_length_a 6.147
_cell_length_b 6.147
_cell_length_c 6.147
_cell_angle_alpha 93.28
_cell_angle_beta 93.28
_cell_angle_gamma 93.28
_symmetry_space_group_name_H-M 'P 1'
_symmetry_Int_Tables_number 1
_symmetry_space_group_name_Hall 'P 1'
loop_
_atom_site_label
_atom_site_type_symbol
_atom_site_fract_x
_atom_site_fract_y
_atom_site_fract_z
K1 K 0.000 0.000 0.000
Y1 Y 0.459 0.459 0.943
Y2 Y 0.459 0.943 0.459
Y3 Y 0.943 0.459 0.459
F1 F 0.122 0.410 0.782
F2 F 0.122 0.782 0.410
F3 F 0.274 0.274 0.274
F4 F 0.410 0.122 0.782
F5 F 0.410 0.782 0.122
F6 F 0.422 0.709 0.709
F7 F 0.709 0.422 0.709
F8 F 0.709 0.709 0.422
F9 F 0.782 0.122 0.410
F10 F 0.782 0.410 0.122
```

Computed properties:
The volume is 16.51 Å³ per atom. The largest piezoelectric modulus is 5.9 C/m2.

---

Version B
Computed, not measured: KY3F10 after structural relaxation at the PBE-GGA level of DFT.

Structure (CIF):
```
data_KY3F10
_cell_length_a 8.284
_cell_length_b 8.284
_cell_length_c 8.284
_cell_angle_alpha 60.00
_cell_angle_beta 60.00
_cell_angle_gamma 60.00
_symmetry_space_group_name_H-M 'P 1'
_symmetry_Int_Tables_number 1
_symmetry_space_group_name_Hall 'P 1'
loop_
_atom_site_label
_atom_site_type_symbol
_atom_site_fract_x
_atom_site_fract_y
_atom_site_fract_z
K1 K 0.250 0.250 0.250
K2 K 0.750 0.750 0.750
Y1 Y 0.240 0.240 0.760
Y2 Y 0.240 0.760 0.240
Y3 Y 0.240 0.760 0.760
Y4 Y 0.760 0.240 0.240
Y5 Y 0.760 0.240 0.760
Y6 Y 0.760 0.760 0.240
F1 F 0.112 0.112 0.112
F2 F 0.112 0.112 0.665
F3 F 0.112 0.665 0.112
F4 F 0.170 0.500 0.500
F5 F 0.170 0.500 0.830
F6 F 0.170 0.830 0.500
F7 F 0.335 0.888 0.888
F8 F 0.500 0.170 0.500
F9 F 0.500 0.170 0.830
F10 F 0.500 0.500 0.170
F11 F 0.500 0.500 0.830
F12 F 0.500 0.830 0.170
F13 F 0.500 0.830 0.500
F14 F 0.665 0.112 0.112
F15 F 0.830 0.170 0.500
F16 F 0.830 0.500 0.170
F17 F 0.830 0.500 0.500
F18 F 0.888 0.335 0.888
F19 F 0.888 0.888 0.335
F20 F 0.888 0.888 0.888
```

Computed properties:
The volume is 14.36 Å³ per atom.

---

Which of them is most stable? Easy: version B.